# Mg4Te3W5O18, optimized geometry, DFT GGA+U
data_Mg4Te3W5O18
_symmetry_space_group_name_H-M 'P 1'
_symmetry_Int_Tables_number 1
_symmetry_space_group_name_Hall 'P 1'
_cell_length_a 9.501
_cell_length_b 9.501
_cell_length_c 10.292
_cell_angle_alpha 91.28
_cell_angle_beta 91.28
_cell_angle_gamma 68.10
loop_
_atom_site_label
_atom_site_type_symbol
_atom_site_fract_x
_atom_site_fract_y
_atom_site_fract_z
Mg1 Mg 0.015 0.015 0.270
Mg2 Mg 0.218 0.366 0.318
Mg3 Mg 0.368 0.049 0.179
Mg4 Mg 0.572 0.398 0.220
Mg5 Mg 0.602 0.428 0.780
Mg6 Mg 0.634 0.782 0.682
Mg7 Mg 0.951 0.632 0.821
Mg8 Mg 0.985 0.985 0.730
Te1 Te 0.290 0.708 0.753
Te2 Te 0.292 0.710 0.247
Te3 Te 0.664 0.179 0.434
Te4 Te 0.769 0.068 0.943
Te5 Te 0.821 0.336 0.566
Te6 Te 0.932 0.231 0.057
W1 W 0.139 0.198 0.795
W2 W 0.173 0.827 0.000
W3 W 0.284 0.033 0.514
W4 W 0.299 0.382 0.983
W5 W 0.417 0.583 0.500
W6 W 0.446 0.221 0.702
W7 W 0.618 0.701 0.017
W8 W 0.779 0.554 0.298
W9 W 0.802 0.861 0.205
W10 W 0.967 0.716 0.486
O1 O 0.004 0.801 0.322
O2 O 0.058 0.783 0.829
O3 O 0.096 0.412 0.865
O4 O 0.105 0.065 0.430
O5 O 0.111 0.047 0.922
O6 O 0.171 0.613 0.519
O7 O 0.199 0.996 0.678
O8 O 0.201 0.586 0.018
O9 O 0.217 0.942 0.171
O10 O 0.234 0.237 0.624
O11 O 0.243 0.278 0.123
O12 O 0.342 0.137 0.374
O13 O 0.359 0.179 0.871
O14 O 0.368 0.477 0.320
O15 O 0.385 0.423 0.818
O16 O 0.387 0.829 0.481
O17 O 0.414 0.799 0.982
O18 O 0.462 0.360 0.578
O19 O 0.482 0.346 0.064
O20 O 0.492 0.008 0.639
O21 O 0.523 0.632 0.680
O22 O 0.577 0.615 0.182
O23 O 0.588 0.904 0.135
O24 O 0.640 0.538 0.422
O25 O 0.646 0.198 0.783
O26 O 0.654 0.518 0.936
O27 O 0.722 0.757 0.877
O28 O 0.763 0.766 0.376
O29 O 0.789 0.072 0.280
O30 O 0.802 0.354 0.217
O31 O 0.821 0.641 0.129
O32 O 0.863 0.658 0.626
O33 O 0.928 0.211 0.720
O34 O 0.935 0.895 0.570
O35 O 0.953 0.889 0.078
O36 O 0.992 0.508 0.361
# Symmetry   C2


# MgTe3WO12, optimized geometry, DFT GGA+U
data_MgTe3WO12
_symmetry_space_group_name_H-M 'P 1'
_symmetry_Int_Tables_number 1
_symmetry_space_group_name_Hall 'P 1'
_cell_length_a 5.202
_cell_length_b 8.730
_cell_length_c 5.287
_cell_angle_alpha 90.00
_cell_angle_beta 91.94
_cell_angle_gamma 90.00
loop_
_atom_site_label
_atom_site_type_symbol
_atom_site_fract_x
_atom_site_fract_y
_atom_site_fract_z
Mg1 Mg 0.000 0.000 0.000
Te1 Te 0.000 0.214 0.500
Te2 Te 0.000 0.397 0.000
Te3 Te 0.500 0.896 0.500
W1 W 0.500 0.700 0.000
O1 O 0.190 0.380 0.688
O2 O 0.195 0.060 0.677
O3 O 0.204 0.229 0.185
O4 O 0.253 0.545 0.108
O5 O 0.280 0.859 0.151
O6 O 0.314 0.729 0.682
O7 O 0.686 0.729 0.318
O8 O 0.720 0.859 0.849
O9 O 0.747 0.545 0.892
O10 O 0.796 0.229 0.815
O11 O 0.805 0.060 0.323
O12 O 0.810 0.380 0.312
# Relative energy among the computed polymorphs   8.0 meV per atom
# Symmetry   P2


# MgTe3WO12, optimized geometry, DFT GGA+U
data_MgTe3WO12
_symmetry_space_group_name_H-M 'P 1'
_symmetry_Int_Tables_number 1
_symmetry_space_group_name_Hall 'P 1'
_cell_length_a 5.209
_cell_length_b 5.570
_cell_length_c 7.717
_cell_angle_alpha 93.37
_cell_angle_beta 90.58
_cell_angle_gamma 90.10
loop_
_atom_site_label
_atom_site_type_symbol
_atom_site_fract_x
_atom_site_fract_y
_atom_site_fract_z
Mg1 Mg 0.000 0.000 0.000
Te1 Te 0.005 0.576 0.702
Te2 Te 0.007 0.575 0.214
Te3 Te 0.495 0.092 0.724
W1 W 0.506 0.092 0.232
O1 O 0.092 0.621 0.969
O2 O 0.196 0.272 0.651
O3 O 0.198 0.911 0.244
O4 O 0.320 0.797 0.656
O5 O 0.327 0.396 0.259
O6 O 0.369 0.098 0.964
O7 O 0.602 0.090 0.461
O8 O 0.685 0.387 0.768
O9 O 0.710 0.817 0.155
O10 O 0.804 0.919 0.779
O11 O 0.817 0.271 0.146
O12 O 0.898 0.587 0.452
# Relative energy among the computed polymorphs   50.3 meV per atom
# Symmetry   P1


Table of DFT formation energy (eV/atom), in record order: -1.914 -1.743 -1.701
Table of volume (A^3/atom), in record order: 14.36 14.12 13.15